<w>
This record from Materials Project describes a relaxed structure of Mg14TiBO16. The functional is PBE.

Lattice parameters (Å, degrees): 4.247 8.580 8.604 90.00 90.00 90.00
Element x y z (fractional)
Mg (0.000, 0.000, 0.000)
Mg (0.000, 0.000, 0.500)
Mg (0.000, 0.250, 0.243)
Mg (0.000, 0.250, 0.757)
Mg (0.000, 0.750, 0.243)
Mg (0.000, 0.750, 0.757)
Mg (0.500, 0.000, 0.248)
Mg (0.500, 0.000, 0.752)
Mg (0.500, 0.247, 0.500)
Mg (0.500, 0.254, 0.000)
Mg (0.500, 0.500, 0.240)
Mg (0.500, 0.500, 0.760)
Mg (0.500, 0.746, 0.000)
Mg (0.500, 0.753, 0.500)
Ti (0.000, 0.500, 0.500)
B (0.000, 0.500, 0.000)
O (0.000, 0.000, 0.254)
O (0.000, 0.000, 0.746)
O (0.000, 0.235, 0.000)
O (0.000, 0.252, 0.500)
O (0.000, 0.500, 0.269)
O (0.000, 0.500, 0.731)
O (0.000, 0.748, 0.500)
O (0.000, 0.765, 0.000)
O (0.500, 0.000, 0.000)
O (0.500, 0.000, 0.500)
O (0.500, 0.252, 0.251)
O (0.500, 0.252, 0.749)
O (0.500, 0.500, 0.000)
O (0.500, 0.500, 0.500)
O (0.500, 0.748, 0.251)
O (0.500, 0.748, 0.749)

Symmetry: Pmmm
M_tot: 1.00 μB per cell
Density: 3.5 g/cm³



<x>
This record from Materials Project describes a relaxed structure of Mg14TiBO16. The functional is PBE.

Lattice parameters (Å, degrees): 8.572 8.572 4.246 90.00 90.00 90.00
Element x y z (fractional)
Mg (0.000, 0.246, 0.000)
Mg (0.000, 0.500, 0.500)
Mg (0.000, 0.754, 0.000)
Mg (0.243, 0.243, 0.500)
Mg (0.243, 0.757, 0.500)
Mg (0.246, 0.000, 0.000)
Mg (0.246, 0.500, 0.000)
Mg (0.500, 0.000, 0.500)
Mg (0.500, 0.246, 0.000)
Mg (0.500, 0.754, 0.000)
Mg (0.754, 0.000, 0.000)
Mg (0.754, 0.500, 0.000)
Mg (0.757, 0.243, 0.500)
Mg (0.757, 0.757, 0.500)
Ti (0.500, 0.500, 0.500)
B (0.000, 0.000, 0.500)
O (0.000, 0.000, 0.000)
O (0.000, 0.264, 0.500)
O (0.000, 0.500, 0.000)
O (0.000, 0.736, 0.500)
O (0.250, 0.250, 0.000)
O (0.250, 0.750, 0.000)
O (0.255, 0.500, 0.500)
O (0.264, 0.000, 0.500)
O (0.500, 0.000, 0.000)
O (0.500, 0.255, 0.500)
O (0.500, 0.500, 0.000)
O (0.500, 0.745, 0.500)
O (0.736, 0.000, 0.500)
O (0.745, 0.500, 0.500)
O (0.750, 0.250, 0.000)
O (0.750, 0.750, 0.000)

Symmetry: P4/mmm
M_tot: 1.00 μB per cell
Density: 3.5 g/cm³



Of them, <x> has the lowest stability.



<w>
This record from Materials Project describes a relaxed structure of RbMg14B. The functional is PBE.

Lattice parameters (Å, degrees): 6.392 6.392 10.688 90.00 90.00 120.00
Element x y z (fractional)
Rb (0.000, 0.000, 0.000)
Mg (0.008, 0.504, 0.000)
Mg (0.163, 0.327, 0.281)
Mg (0.163, 0.327, 0.719)
Mg (0.163, 0.837, 0.281)
Mg (0.163, 0.837, 0.719)
Mg (0.496, 0.504, 0.000)
Mg (0.496, 0.992, 0.000)
Mg (0.505, 0.011, 0.500)
Mg (0.505, 0.495, 0.500)
Mg (0.667, 0.333, 0.241)
Mg (0.667, 0.333, 0.759)
Mg (0.673, 0.837, 0.281)
Mg (0.673, 0.837, 0.719)
Mg (0.989, 0.495, 0.500)
B (0.000, 0.000, 0.500)

Symmetry: P-6m2
M_tot: 0.00 μB per cell
Density: 1.9 g/cm³



<x>
This record from Materials Project describes a relaxed structure of RbMg14B. The functional is PBE.

Lattice parameters (Å, degrees): 10.299 6.684 6.684 56.38 90.00 90.00
Element x y z (fractional)
Rb (0.000, 0.000, 0.000)
Mg (0.000, 0.000, 0.496)
Mg (0.000, 0.496, 0.000)
Mg (0.223, 0.623, 0.623)
Mg (0.252, 0.144, 0.619)
Mg (0.252, 0.619, 0.144)
Mg (0.272, 0.143, 0.143)
Mg (0.500, 0.474, 0.474)
Mg (0.500, 0.480, 0.967)
Mg (0.500, 0.967, 0.480)
Mg (0.500, 0.967, 0.967)
Mg (0.728, 0.143, 0.143)
Mg (0.748, 0.144, 0.619)
Mg (0.748, 0.619, 0.144)
Mg (0.777, 0.623, 0.623)
B (0.000, 0.397, 0.397)

Symmetry: Amm2
M_tot: 0.00 μB per cell
Density: 1.9 g/cm³



Of them, <w> has the lowest stability.



<w>
This record from Materials Project describes a relaxed structure of Mg14SnB. The functional is PBE.

Lattice parameters (Å, degrees): 9.945 6.314 6.314 62.93 90.00 90.00
Element x y z (fractional)
Mg (0.000, 0.000, 0.000)
Mg (0.000, 0.008, 0.500)
Mg (0.000, 0.498, 0.498)
Mg (0.000, 0.500, 0.008)
Mg (0.245, 0.674, 0.674)
Mg (0.256, 0.174, 0.174)
Mg (0.279, 0.157, 0.703)
Mg (0.279, 0.703, 0.157)
Mg (0.500, 0.471, 0.980)
Mg (0.500, 0.980, 0.471)
Mg (0.721, 0.157, 0.703)
Mg (0.721, 0.703, 0.157)
Mg (0.744, 0.174, 0.174)
Mg (0.755, 0.674, 0.674)
Sn (0.500, 0.497, 0.497)
B (0.500, 0.045, 0.045)

Symmetry: Amm2
M_tot: 0.00 μB per cell
Density: 2.2 g/cm³



<x>
This record from Materials Project describes a relaxed structure of Mg14SnB. The functional is PBE.

Lattice parameters (Å, degrees): 6.238 6.238 10.186 90.00 90.00 120.00
Element x y z (fractional)
Mg (0.000, 0.000, 0.249)
Mg (0.000, 0.000, 0.751)
Mg (0.006, 0.503, 0.263)
Mg (0.006, 0.503, 0.737)
Mg (0.329, 0.164, 0.500)
Mg (0.336, 0.168, 0.000)
Mg (0.497, 0.503, 0.263)
Mg (0.497, 0.503, 0.737)
Mg (0.497, 0.994, 0.263)
Mg (0.497, 0.994, 0.737)
Mg (0.832, 0.168, 0.000)
Mg (0.832, 0.664, 0.000)
Mg (0.836, 0.164, 0.500)
Mg (0.836, 0.671, 0.500)
Sn (0.333, 0.667, 0.000)
B (0.333, 0.667, 0.500)

Symmetry: P-6m2
M_tot: 0.00 μB per cell
Density: 2.3 g/cm³



Of them, <w> has the lowest stability.